Entry 1:
Material: Na10Mg4Ti4Si5S7O48
Method: DFT, PBE
State: relaxed

Structure (POSCAR):
```
Na10Mg4Ti4Si5S7O48
1.0
-13.4818 5.8375 -10.0381
5.4342 -6.2907 -3.1180
-13.0710 -15.7559 8.7466
Na Mg Ti Si S O
30 12 12 15 21 144
direct
0.3248 0.0200 0.2498 Na
0.6785 0.3536 0.2534 Na
0.9976 0.6312 0.2448 Na
0.4979 0.6266 0.2431 Na
0.3222 0.6263 0.7522 Na
0.8224 0.6264 0.7511 Na
0.9970 0.3683 0.7427 Na
0.4972 0.3683 0.7434 Na
0.1781 0.0045 0.7526 Na
0.6789 0.0050 0.7519 Na
0.3338 0.9669 0.5779 Na
0.8337 0.9673 0.5764 Na
0.3342 0.7008 0.0777 Na
0.8319 0.6990 0.0770 Na
0.4843 0.6783 0.9117 Na
0.9848 0.6785 0.9108 Na
0.4867 0.2932 0.4095 Na
0.1648 0.0309 0.4118 Na
0.9911 0.0007 0.4966 Na
0.5014 0.9959 0.4969 Na
0.9989 0.0074 0.9953 Na
0.4978 0.0025 0.9977 Na
0.3283 0.3345 0.8314 Na
0.8288 0.3347 0.8305 Na
0.3296 0.3338 0.3265 Na
0.8256 0.3076 0.3331 Na
0.1579 0.6583 0.1606 Na
0.6572 0.6703 0.1623 Na
0.1534 0.6453 0.6607 Na
0.6555 0.6480 0.6598 Na
0.9972 0.0056 0.3525 Mg
0.5016 0.0048 0.3515 Mg
0.0000 0.9957 0.8520 Mg
0.4998 0.9956 0.8524 Mg
0.3376 0.3444 0.6843 Mg
0.8378 0.3454 0.6836 Mg
0.3356 0.3310 0.1851 Mg
0.8346 0.3227 0.1841 Mg
0.1662 0.6716 0.0185 Mg
0.6650 0.6706 0.0187 Mg
0.1636 0.6548 0.5186 Mg
0.6669 0.6605 0.5180 Mg
0.0106 0.0150 0.6478 Ti
0.5124 0.0165 0.6479 Ti
0.0072 0.9929 0.1456 Ti
0.5110 0.0062 0.1490 Ti
0.3351 0.3530 0.9818 Ti
0.8347 0.3520 0.9810 Ti
0.3403 0.3290 0.4811 Ti
0.8379 0.3168 0.4798 Ti
0.1702 0.6818 0.3157 Ti
0.6704 0.6863 0.3120 Ti
0.1660 0.6520 0.8138 Ti
0.6660 0.6520 0.8138 Ti
0.1471 0.0069 0.2549 Si
0.6505 0.0094 0.2532 Si
0.5005 0.2934 0.2525 Si
0.1469 0.2886 0.7528 Si
0.6472 0.2890 0.7531 Si
0.0000 0.7083 0.7525 Si
0.5001 0.7085 0.7526 Si
0.4856 0.3364 0.5875 Si
0.9841 0.3363 0.5873 Si
0.4846 0.6332 0.0874 Si
0.9832 0.6224 0.0873 Si
0.3137 0.6754 0.9211 Si
0.8136 0.6765 0.9212 Si
0.3157 0.9549 0.4223 Si
0.8147 0.9531 0.4208 Si
0.3524 0.7084 0.2507 S
0.8552 0.7133 0.2496 S
0.0011 0.2892 0.2499 S
0.3541 0.9974 0.7499 S
0.8541 0.9974 0.7502 S
0.1879 0.0445 0.5833 S
0.6882 0.0445 0.5839 S
0.3337 0.6235 0.5833 S
0.8339 0.6245 0.5834 S
0.3336 0.0442 0.0835 S
0.8344 0.0452 0.0833 S
0.1875 0.3304 0.0845 S
0.6878 0.3316 0.0838 S
0.0207 0.3727 0.9176 S
0.5207 0.3723 0.9174 S
0.1697 0.9614 0.9169 S
0.6699 0.9618 0.9169 S
0.1674 0.3789 0.4169 S
0.6700 0.3779 0.4169 S
0.0199 0.6632 0.4170 S
0.5216 0.6696 0.4171 S
0.1003 0.0177 0.3135 O
0.6014 0.0313 0.3080 O
0.4066 0.7876 0.3037 O
0.9104 0.7950 0.3017 O
0.4803 0.1746 0.3109 O
0.9894 0.1871 0.3037 O
0.1002 0.1698 0.8084 O
0.5997 0.1694 0.8083 O
0.4809 0.7865 0.8109 O
0.9809 0.7862 0.8110 O
0.4084 0.0289 0.8028 O
0.9083 0.0287 0.8032 O
0.3917 0.9653 0.6949 O
0.8917 0.9653 0.6953 O
0.0821 0.2042 0.6918 O
0.5825 0.2054 0.6918 O
0.0173 0.8444 0.6941 O
0.5171 0.8446 0.6940 O
0.3895 0.8179 0.1955 O
0.8933 0.8179 0.1935 O
0.0123 0.2051 0.1955 O
0.5163 0.1882 0.1943 O
0.0793 0.9652 0.1949 O
0.5840 0.9632 0.1920 O
0.4349 0.3467 0.6443 O
0.9360 0.3470 0.6456 O
0.2400 0.1256 0.6374 O
0.7388 0.1227 0.6390 O
0.3214 0.5240 0.6387 O
0.8219 0.5255 0.6392 O
0.4344 0.5222 0.1446 O
0.9350 0.5192 0.1462 O
0.3216 0.1195 0.1387 O
0.8222 0.1229 0.1371 O
0.2407 0.3541 0.1375 O
0.7400 0.3567 0.1381 O
0.2268 0.3007 0.0294 O
0.7308 0.3057 0.0299 O
0.4149 0.5286 0.0264 O
0.9150 0.5293 0.0270 O
0.3426 0.1534 0.0300 O
0.8455 0.1530 0.0291 O
0.2292 0.1528 0.5283 O
0.7298 0.1549 0.5303 O
0.3430 0.5315 0.5302 O
0.8439 0.5357 0.5305 O
0.4162 0.3034 0.5262 O
0.9142 0.3003 0.5278 O
0.2675 0.6856 0.9800 O
0.7674 0.6861 0.9802 O
0.0737 0.4587 0.9701 O
0.5740 0.4588 0.9698 O
0.1543 0.8475 0.9685 O
0.6551 0.8483 0.9685 O
0.2649 0.8482 0.4796 O
0.7700 0.8517 0.4807 O
0.1557 0.4577 0.4702 O
0.6543 0.4606 0.4682 O
0.0757 0.6899 0.4687 O
0.5736 0.6885 0.4702 O
0.0598 0.6349 0.3607 O
0.5578 0.6313 0.3617 O
0.2489 0.8616 0.3607 O
0.7477 0.8541 0.3614 O
0.1780 0.4875 0.3622 O
0.6803 0.4801 0.3605 O
0.0593 0.4851 0.8615 O
0.5596 0.4855 0.8613 O
0.1799 0.8790 0.8607 O
0.6809 0.8808 0.8607 O
0.2500 0.6428 0.8597 O
0.7500 0.6425 0.8598 O
0.0120 0.8196 0.4100 O
0.5083 0.8172 0.4098 O
0.4123 0.9912 0.4146 O
0.9101 0.9858 0.4102 O
0.0929 0.2010 0.4107 O
0.5927 0.2025 0.4122 O
0.0091 0.2001 0.9099 O
0.5094 0.2002 0.9095 O
0.0924 0.9820 0.9119 O
0.5928 0.9826 0.9118 O
0.4115 0.8318 0.9139 O
0.9116 0.8319 0.9142 O
0.4828 0.1443 0.5890 O
0.9831 0.1448 0.5897 O
0.1005 0.0290 0.5863 O
0.6003 0.0288 0.5870 O
0.4133 0.7990 0.5866 O
0.9133 0.8019 0.5878 O
0.4830 0.8214 0.0894 O
0.9839 0.8176 0.0912 O
0.4131 0.0267 0.0871 O
0.9149 0.0277 0.0886 O
0.0987 0.1721 0.0893 O
0.6009 0.1724 0.0866 O
0.3391 0.1461 0.7431 O
0.8390 0.1460 0.7435 O
0.2418 0.3139 0.7421 O
0.7420 0.3141 0.7424 O
0.4193 0.5144 0.7448 O
0.9190 0.5141 0.7451 O
0.3398 0.5333 0.2435 O
0.8440 0.5366 0.2439 O
0.4195 0.3254 0.2447 O
0.9260 0.3179 0.2443 O
0.2433 0.1595 0.2433 O
0.7430 0.1789 0.2428 O
0.3207 0.4876 0.9244 O
0.8210 0.4884 0.9249 O
0.4332 0.3628 0.9215 O
0.9330 0.3632 0.9218 O
0.2495 0.1337 0.9230 O
0.7499 0.1350 0.9234 O
0.3186 0.1527 0.4245 O
0.8187 0.1501 0.4246 O
0.2478 0.3618 0.4212 O
0.7498 0.3648 0.4237 O
0.4323 0.5033 0.4227 O
0.9324 0.5062 0.4217 O
0.1781 0.4851 0.0777 O
0.6790 0.4866 0.0769 O
0.0775 0.6528 0.0764 O
0.5774 0.6543 0.0761 O
0.2580 0.8659 0.0782 O
0.7598 0.8668 0.0779 O
0.1793 0.8716 0.5775 O
0.6786 0.8710 0.5780 O
0.2584 0.6506 0.5773 O
0.7583 0.6515 0.5785 O
0.0772 0.5005 0.5768 O
0.5777 0.5010 0.5758 O
0.1508 0.8159 0.2587 O
0.6530 0.8234 0.2573 O
0.2644 0.6967 0.2569 O
0.7663 0.6908 0.2547 O
0.0810 0.4686 0.2550 O
0.5921 0.4851 0.2578 O
0.1545 0.4852 0.7574 O
0.6544 0.4852 0.7575 O
0.0916 0.6983 0.7586 O
0.5917 0.6988 0.7585 O
0.2659 0.8363 0.7554 O
0.7659 0.8361 0.7557 O
```

Volume, A^3/atom: 13.03
Formation energy from the elements, meV per atom: -2584

Entry 2:
Material: Na6Mg2Ti2Si3S3O24
Method: DFT, PBE
State: relaxed

Structure (POSCAR):
```
Na6Mg2Ti2Si3S3O24
1.0
-6.8533 3.2255 -4.7615
4.8509 -6.7774 -3.2665
-13.4655 -14.5324 10.1517
Na Mg Ti Si S O
18 6 6 9 9 72
direct
0.3703 0.3546 0.2463 Na
0.9994 0.6354 0.2421 Na
0.9892 0.3546 0.7468 Na
0.3781 0.0227 0.7472 Na
0.2980 0.3347 0.5814 Na
0.6587 0.9747 0.5897 Na
0.3036 0.9591 0.0745 Na
0.6593 0.6865 0.0830 Na
0.9825 0.6780 0.9180 Na
0.3230 0.2878 0.9091 Na
0.9828 0.3038 0.4240 Na
0.3263 0.0395 0.4140 Na
0.0052 0.9944 0.5034 Na
0.0021 0.0102 0.9945 Na
0.6572 0.3194 0.8264 Na
0.6530 0.3259 0.3318 Na
0.3215 0.6575 0.1590 Na
0.3215 0.6642 0.6615 Na
0.0109 0.0065 0.3505 Mg
0.0103 0.0078 0.8486 Mg
0.6623 0.3252 0.6862 Mg
0.6616 0.3269 0.1825 Mg
0.3150 0.6585 0.0191 Mg
0.3165 0.6551 0.5216 Mg
0.0057 0.0269 0.6484 Ti
0.0236 0.9958 0.1420 Ti
0.6499 0.3245 0.9841 Ti
0.6476 0.3273 0.4890 Ti
0.3412 0.6679 0.3154 Ti
0.3552 0.6892 0.8079 Ti
0.3045 0.0009 0.2533 Si
0.3022 0.3035 0.7544 Si
0.7170 0.0035 0.7510 Si
0.9573 0.3400 0.5859 Si
0.3624 0.0278 0.5869 Si
0.9562 0.6136 0.0868 Si
0.3739 0.3412 0.0863 Si
0.3348 0.9589 0.9188 Si
0.3379 0.3742 0.4186 Si
0.7096 0.7148 0.2510 S
0.9972 0.2879 0.2513 S
0.9988 0.7109 0.7513 S
0.6721 0.6265 0.5841 S
0.6728 0.0452 0.0840 S
0.6246 0.6679 0.9181 S
0.0373 0.3739 0.9167 S
0.6270 0.9561 0.4169 S
0.0401 0.6654 0.4147 S
0.2095 0.0259 0.3095 O
0.8152 0.8035 0.3039 O
0.9769 0.1924 0.3070 O
0.2210 0.1827 0.8116 O
0.9807 0.7850 0.8082 O
0.8318 0.0238 0.8083 O
0.8013 0.9696 0.6885 O
0.1651 0.2059 0.6935 O
0.0296 0.8247 0.6992 O
0.7824 0.8129 0.1951 O
0.0232 0.2020 0.1988 O
0.1693 0.9651 0.1920 O
0.8710 0.3610 0.6444 O
0.4846 0.1209 0.6433 O
0.6435 0.5193 0.6365 O
0.8714 0.5153 0.1475 O
0.6421 0.1220 0.1372 O
0.4838 0.3661 0.1463 O
0.4640 0.2946 0.0271 O
0.8265 0.5233 0.0267 O
0.6966 0.1531 0.0297 O
0.4606 0.1674 0.5256 O
0.6914 0.5365 0.5284 O
0.8281 0.3057 0.5231 O
0.5476 0.6883 0.9728 O
0.1494 0.4553 0.9698 O
0.3095 0.8466 0.9775 O
0.5499 0.8584 0.4707 O
0.3081 0.4683 0.4738 O
0.1537 0.6993 0.4670 O
0.1255 0.6399 0.3593 O
0.5090 0.8684 0.3623 O
0.3576 0.5010 0.3572 O
0.1139 0.4789 0.8622 O
0.3583 0.8595 0.8584 O
0.5118 0.6384 0.8642 O
0.0166 0.8164 0.4073 O
0.8000 0.9799 0.4076 O
0.1660 0.1844 0.4116 O
0.0176 0.2000 0.9125 O
0.1648 0.9826 0.9136 O
0.8006 0.8127 0.9119 O
0.9617 0.1508 0.5865 O
0.1758 0.0229 0.5892 O
0.8279 0.7965 0.5858 O
0.9623 0.8127 0.0906 O
0.8291 0.0264 0.0899 O
0.1825 0.1568 0.0905 O
0.6870 0.1666 0.7467 O
0.4882 0.3271 0.7430 O
0.8523 0.5375 0.7444 O
0.6921 0.5407 0.2488 O
0.8517 0.3201 0.2453 O
0.4887 0.1697 0.2452 O
0.6367 0.5027 0.9212 O
0.8658 0.3648 0.9235 O
0.5115 0.1579 0.9246 O
0.6391 0.1304 0.4180 O
0.5124 0.3515 0.4204 O
0.8733 0.5044 0.4185 O
0.3631 0.5112 0.0743 O
0.1542 0.6653 0.0810 O
0.5223 0.8707 0.0764 O
0.3642 0.8534 0.5723 O
0.5194 0.6481 0.5751 O
0.1536 0.4877 0.5789 O
0.3046 0.8132 0.2588 O
0.5287 0.6895 0.2555 O
0.1617 0.4648 0.2552 O
0.2959 0.4865 0.7609 O
0.1614 0.6939 0.7554 O
0.5155 0.8271 0.7550 O
```

Volume, A^3/atom: 12.92
Formation energy from the elements, meV per atom: -2620

Number 1: magnetization 0.000 μB/cell, VASP energy -6.581 eV/atom. Number 2: magnetization 0.000 μB/cell, VASP energy -6.567 eV/atom.